CaSm4Tm4O12 | PBE | relaxed

```
21
Lattice="5.873 0.000 0.000 0.000 8.541 0.000 -0.079 0.000 6.157" Properties=species:S:1:pos:R:3 pbc="T T T"
Ca 0.000 0.000 0.000
Sm 2.120 4.270 4.201
Sm 2.752 0.000 5.000
Sm 4.850 0.000 2.636
Sm 5.428 4.270 1.224
Tm 2.410 2.180 1.501
Tm 2.410 6.361 1.501
Tm 5.201 2.399 4.562
Tm 5.201 6.142 4.562
O 0.586 2.854 2.780
O 0.586 5.687 2.780
O 0.660 0.000 4.047
O 1.084 2.805 5.856
O 1.084 5.736 5.856
O 1.958 0.000 1.069
O 3.216 4.270 1.939
O 3.399 1.724 3.441
O 3.399 6.817 3.441
O 4.310 1.642 0.407
O 4.310 6.899 0.407
O 4.303 4.270 5.055
```

Values from the calculation:
Size of the total moment = 0.0 μB per cell
E_form = -3500 meV per atom
DFT total energy = -7.78 eV/atom
SG = No. 6
Excess energy over the best structure of this formula in the dataset = 0.113 eV per atom